This record from Materials Project describes Ba3InB3O9 after structural relaxation. The functional is PBE.

a b c (Å): 12.9590 12.9590 9.4913
angles (deg): 90.00 90.00 120.00
Space group R-3 (No. 148, hexagonal axes)
Symmetry-distinct sites (fractional):
Ba: 0.0385 0.5681 0.3054 [18 per cell]
In: 0.0000 0.0000 0.0000 [3 per cell]
In: 0.0000 0.0000 0.5000 [3 per cell]
B: 0.0565 0.8705 0.2355 [18 per cell]
O: 0.0134 0.7559 0.1859 [18 per cell]
O: 0.0307 0.1480 0.1463 [18 per cell]
O: 0.0510 0.8883 0.3805 [18 per cell]

Values from the calculation:
Energy of formation from the pure elements, eV/atom: -2.972
V, Å³ per cell: 1380.4
Corrected total energy (MP2020 scheme), eV/atom: -7.540
Crystal system: trigonal

=====

This record from Materials Project describes Sm3B2O6F3 after structural relaxation. The functional is PBE.

a b c (Å): 12.9418 6.2931 8.3938
angles (deg): 90.00 96.95 90.00
Space group C2/c (No. 15)
Symmetry-distinct sites (fractional):
Sm: 0.0000 0.1010 0.2500 [4 per cell]
Sm: 0.1782 0.3918 0.6794 [8 per cell]
B: 0.1809 0.0915 0.0219 [8 per cell]
O: 0.1497 0.0989 0.8583 [8 per cell]
O: 0.1506 0.2301 0.1345 [8 per cell]
O: 0.2402 0.4449 0.4253 [8 per cell]
F: 0.0000 0.4760 0.2500 [4 per cell]
F: 0.0516 0.1780 0.5430 [8 per cell]

Values from the calculation:
Total magnetization, Bohr magnetons per cell: 0.00
Energy of formation from the pure elements, eV/atom: -3.754
V, Å³ per cell: 678.6
Corrected total energy (MP2020 scheme), eV/atom: -8.251
Crystal system: monoclinic

=====

This record from Materials Project describes CsTe7Mo6 after structural relaxation. The functional is PBE.

a b c (Å): 10.5153 10.5153 25.6214
angles (deg): 90.00 90.00 120.00
Space group R-3 (No. 148, hexagonal axes)
Symmetry-distinct sites (fractional):
Cs: 0.0000 0.0000 0.1200 [6 per cell]
Te: 0.0000 0.0000 0.2755 [6 per cell]
Te: 0.0066 0.3729 0.2974 [18 per cell]
Te: 0.0127 0.3742 0.1194 [18 per cell]
Mo: 0.0118 0.1536 0.5444 [18 per cell]
Mo: 0.0170 0.1533 0.3642 [18 per cell]

Values from the calculation:
Energy of formation from the pure elements, eV/atom: -0.391
V, Å³ per cell: 2453.4
Crystal system: trigonal